#1
Entry from Materials Project: an optimized crystal structure of MgMn4Cu2O8 (GGA+U).

abc: 6.2227 6.9518 6.2227
angles: 53.55 60.10 53.55
Fractional positions:
O: 0.8901 0.3427 0.3646
O: 0.8854 0.9073 0.3599
O: 0.3599 0.9073 0.8854
O: 0.3646 0.3427 0.8901
O: 0.3827 0.4388 0.3827
O: 0.3847 0.8629 0.3847
O: 0.8653 0.3871 0.8653
O: 0.8673 0.8112 0.8673
Cu: 0.6250 0.6250 0.6250
Cu: 0.6250 0.1250 0.6250
Mn: 0.6250 0.6250 0.1250
Mn: 0.9453 0.0048 0.9453
Mn: 0.1250 0.6250 0.6250
Mn: 0.3047 0.2452 0.3047
Mg: 0.1250 0.1250 0.1250

Computed properties:
**Space-group type**: C2/m, No. 12
**Total magnetic moment**: 16.0 μB/f.u.



#2
Entry from Materials Project: an optimized crystal structure of MgMn4Cu2O8 (GGA+U).

abc: 6.8692 6.0069 6.8692
angles: 64.07 49.40 64.07
Fractional positions:
O: 0.8593 0.8688 0.4031
O: 0.4031 0.8688 0.8593
O: 0.3576 0.8514 0.3576
O: 0.4090 0.3575 0.8760
O: 0.3576 0.4335 0.3576
O: 0.8919 0.3969 0.8919
O: 0.8919 0.8192 0.8919
O: 0.8760 0.3575 0.4090
Mn: 0.5756 0.6716 0.0812
Mn: 0.0044 0.9956 0.0044
Mn: 0.0812 0.6716 0.5756
Mn: 0.2761 0.2239 0.2761
Cu: 0.6262 0.1274 0.6262
Cu: 0.6262 0.6202 0.6262
Mg: 0.0347 0.4653 0.0347

Computed properties:
**Space-group type**: Imm2, No. 44
**Total magnetic moment**: 16.0 μB/f.u.



#3
Entry from Materials Project: an optimized crystal structure of MgMn4Cu2O8 (GGA+U).

abc: 6.0256 6.6442 6.6229
angles: 55.97 62.96 63.05
Fractional positions:
Mn: 0.4843 0.5149 0.5147
Mn: 0.9862 0.5149 0.5147
Mn: 0.4703 0.5340 0.0257
Mn: 0.4667 0.0280 0.5386
O: 0.7408 0.3074 0.7113
O: 0.3225 0.2314 0.2251
O: 0.2898 0.7513 0.7573
O: 0.7019 0.7515 0.7574
O: 0.2604 0.6907 0.2888
O: 0.7404 0.7121 0.3072
O: 0.7207 0.2312 0.2251
O: 0.2579 0.2897 0.6946
Mg: 0.6941 0.0554 0.0556
Cu: 0.0335 0.2285 0.2040
Cu: 0.9765 0.7634 0.7841

Computed properties:
**Space-group type**: Cm, No. 8
**Total magnetic moment**: 16.0 μB/f.u.



Which of them is most stable, and which least? Most stable: #3; least stable: #2.



#1
Entry from Materials Project: an optimized crystal structure of MgMn4CuO8 (GGA+U).

abc: 6.2202 6.0053 6.0548
angles: 84.47 58.33 57.98
Fractional positions:
O: 0.5246 0.2395 0.2183
O: 0.9809 0.2794 0.2549
O: 0.9878 0.2801 0.7972
O: 0.4754 0.7605 0.7817
O: 0.4428 0.2738 0.7935
O: 0.0191 0.7206 0.7451
O: 0.0122 0.7199 0.2028
O: 0.5572 0.7262 0.2065
Mn: 0.5000 0.0000 0.0000
Mn: 0.0000 0.5000 0.5000
Mn: 0.0000 0.5000 0.0000
Mn: 0.0000 0.0000 0.0000
Mg: 0.5000 0.5000 0.5000
Cu: 0.5000 0.5000 0.0000

Computed properties:
**Space-group type**: P-1, No. 2
**Total magnetic moment**: 17.3 μB/f.u.



#2
Entry from Materials Project: an optimized crystal structure of MgMn4CuO8 (GGA+U).

abc: 6.0880 6.0791 6.1075
angles: 90.75 62.01 59.06
Fractional positions:
Cu: 0.5000 0.5000 0.0000
Mn: 0.0000 0.5000 0.5000
Mn: 0.0000 0.0000 0.0000
Mn: 0.5000 0.0000 0.0000
Mn: 0.0000 0.5000 0.0000
Mg: 0.5000 0.0000 0.5000
O: 0.9762 0.7338 0.2393
O: 0.5051 0.7844 0.7614
O: 0.4949 0.2156 0.2386
O: 0.0480 0.2469 0.1998
O: 0.5466 0.7403 0.1942
O: 0.9520 0.7531 0.8002
O: 0.4534 0.2597 0.8058
O: 0.0238 0.2662 0.7607

Computed properties:
**Space-group type**: P-1, No. 2
**Total magnetic moment**: 16.2 μB/f.u.



#3
Entry from Materials Project: an optimized crystal structure of MgMn4CuO8 (GGA+U).

abc: 6.1750 6.1747 6.2087
angles: 84.46 56.72 56.96
Fractional positions:
O: 0.0388 0.7026 0.2145
O: 0.4950 0.2465 0.7521
O: 0.9957 0.7381 0.7428
O: 0.5452 0.7350 0.1905
O: 0.0060 0.2704 0.7232
O: 0.5482 0.7279 0.7232
O: 0.4885 0.2530 0.2149
O: 0.0480 0.2409 0.1935
Mn: 0.0183 0.4903 0.9690
Mn: 0.5219 0.9868 0.9692
Mn: 0.0166 0.4884 0.4726
Mn: 0.7659 0.1084 0.3435
Cu: 0.5210 0.4877 0.9673
Mg: 0.2721 0.8675 0.5966

Computed properties:
**Space-group type**: Cm, No. 8
**Total magnetic moment**: 15.0 μB/f.u.



Which of them is most stable, and which least? Most stable: #3; least stable: #1.